The following is a PBE-GGA calculation of an optimized crystal structure of Tb3SbO7, from Materials Project.

Computed properties:
Total energy, eV for the cell shown: -170.88
Energy relative to the elements, eV/atom: -3.42
V, A^3/atom: 13.8

Unit cell a=6.463 b=6.508 c=7.613 alpha=73.19 beta=89.79 gamma=81.89
Positions (direct):
1 Tb 0.041 0.004 0.248
2 Tb 0.235 0.535 0.617
3 Tb 0.238 0.525 0.115
4 Tb 0.762 0.475 0.885
5 Tb 0.765 0.465 0.383
6 Tb 0.959 0.996 0.752
7 Sb 0.500 0.000 0.000
8 Sb 0.500 0.000 0.500
9 O 0.048 0.638 0.845
10 O 0.059 0.646 0.334
11 O 0.209 0.932 0.547
12 O 0.210 0.939 0.983
13 O 0.400 0.072 0.231
14 O 0.425 0.320 0.457
15 O 0.431 0.331 0.887
16 O 0.569 0.669 0.113
17 O 0.575 0.680 0.543
18 O 0.600 0.928 0.769
19 O 0.790 0.061 0.017
20 O 0.791 0.068 0.453
21 O 0.941 0.354 0.666
22 O 0.952 0.362 0.155